No. 1
DFT (PBE) results for crystalline TiMn4N4 at its relaxed geometry. Values from VASP.

```
&SYSTEM
  ibrav = 0, nat = 18, ntyp = 3
/
ATOMIC_SPECIES
N 14.01 N.upf
Ti 47.87 Ti.upf
Mn 54.94 Mn.upf
ATOMIC_POSITIONS angstrom
N 3.733 -5.076 2.446
N 2.293 -6.343 4.626
N 3.265 -8.101 1.884
N 1.752 -4.035 -1.091
N 3.691 -6.048 -0.416
N 2.725 -5.793 -3.833
N 1.326 -6.088 1.209
N 1.285 -7.060 -1.652
Ti 3.956 -9.604 0.739
Ti 1.062 -2.532 0.055
Mn 2.436 -6.582 2.793
Mn 2.270 -7.447 0.002
Mn 4.691 -6.732 1.232
Mn 0.327 -5.404 -0.439
Mn 4.616 -8.455 3.401
Mn 2.582 -5.554 -1.999
Mn 2.748 -4.689 0.792
Mn 0.402 -3.681 -2.608
CELL_PARAMETERS angstrom
-0.695 -4.021 -3.445
4.221 -2.503 -1.119
1.492 -5.612 5.357
```

Computed properties:
The formation energy comes out at -5.308 eV per formula unit. The crystal system is triclinic.

No. 2
DFT (PBE) results for crystalline U2MnN3 at its relaxed geometry. Values from VASP.

```
&SYSTEM
  ibrav = 0, nat = 6, ntyp = 3
/
ATOMIC_SPECIES
Mn 54.94 Mn.upf
U 238.03 U.upf
N 14.01 N.upf
ATOMIC_POSITIONS angstrom
Mn 0.000 0.000 0.000
U -1.680 -3.970 -0.024
U 0.312 -2.013 -2.271
N -0.793 -1.874 -0.011
N 1.589 -0.668 -0.739
N -0.575 -4.109 -2.283
CELL_PARAMETERS angstrom
-1.195 0.525 -3.043
3.178 -1.336 -1.478
-3.351 -5.171 2.227
```

Computed properties:
The formation energy comes out at -8.102 eV per formula unit. The crystal system is orthorhombic.

No. 3
DFT (PBE) results for crystalline Mn3V8N9 at its relaxed geometry. Values from VASP.

```
&SYSTEM
  ibrav = 0, nat = 80, ntyp = 3
/
ATOMIC_SPECIES
N 14.01 N.upf
V 50.94 V.upf
Mn 54.94 Mn.upf
ATOMIC_POSITIONS angstrom
N -13.041 -2.410 2.720
N -10.381 -2.650 3.806
N -12.415 -1.400 -2.145
N -9.310 -3.376 1.186
N -12.050 -3.109 0.101
N -10.909 -0.850 1.629
N -9.737 -1.721 -1.073
N -14.704 -2.799 -1.026
N -13.570 -0.637 0.465
N -12.364 1.605 1.917
N -1.672 3.277 -0.812
N -8.225 1.632 -4.482
N -3.961 1.878 0.307
N -5.467 1.328 -3.467
N -2.321 -0.636 -0.044
N -6.701 -0.839 -4.837
N -10.993 -3.864 -2.506
N -5.995 3.128 -5.645
N -10.318 0.151 -3.317
N -6.058 0.328 1.479
N -2.806 1.116 -2.303
N -7.705 -0.056 -2.232
N -5.027 -0.378 -1.120
N -11.349 0.857 -0.718
N -6.639 2.200 -0.765
N -9.675 1.318 2.999
N -3.335 2.889 -4.559
N -8.671 0.534 0.394
N -11.970 -0.065 4.213
N -8.151 -1.153 2.644
N -7.066 3.854 -3.024
N -4.326 3.588 -1.939
N -4.013 -1.126 -3.755
N -4.406 0.544 -6.052
N -14.055 1.115 -1.794
N -5.383 4.342 0.668
V -6.862 0.286 -0.377
V -7.854 0.863 2.290
V -4.148 2.467 -6.362
V -10.484 1.109 1.100
V -7.231 1.923 -2.708
V -3.571 0.792 -4.171
V -14.219 -0.817 -1.476
V -9.145 -1.445 0.869
V -8.522 -0.384 -4.128
V -10.567 -1.949 -2.958
V -5.893 -0.631 -2.938
V -12.908 -3.378 -1.769
V -3.468 3.856 -0.069
V -12.805 -0.314 2.333
V -4.206 -0.131 0.731
V -13.186 1.344 0.068
V -5.809 2.428 1.120
V -2.158 1.295 -0.362
V -6.084 4.065 -1.233
V -12.170 0.609 -2.569
V -9.514 0.193 -1.461
V -11.199 -2.871 1.951
V -3.190 -0.866 -1.906
V -2.533 3.125 -2.712
V -11.425 1.797 3.723
V -7.858 3.608 -4.918
V -13.843 -2.646 0.873
V -4.952 -1.319 -5.561
V -5.177 3.350 -3.789
V -10.292 -3.586 -0.605
V -8.518 -3.130 3.080
V -12.228 -1.989 4.524
Mn -9.988 2.095 -3.830
Mn -8.302 2.428 0.173
Mn -13.459 -4.380 3.034
Mn -4.770 1.589 -1.561
Mn -6.388 -1.616 1.991
Mn -8.074 -1.950 -2.011
Mn -6.309 1.144 -5.333
Mn -10.067 -0.666 3.495
Mn -1.436 5.133 -1.334
Mn -14.940 -4.655 -0.504
Mn -11.606 -1.111 -0.277
Mn -2.917 4.858 -4.872
CELL_PARAMETERS angstrom
-0.719 6.439 -0.497
-3.291 -0.942 -7.444
-12.366 -5.018 6.103
```

Computed properties:
The formation energy comes out at -19.081 eV per formula unit. The crystal system is monoclinic.

No. 4
DFT (PBE) results for crystalline MnWN2 at its relaxed geometry. Values from VASP.

```
&SYSTEM
  ibrav = 0, nat = 8, ntyp = 3
/
ATOMIC_SPECIES
N 14.01 N.upf
Mn 54.94 Mn.upf
W 183.84 W.upf
ATOMIC_POSITIONS angstrom
N 1.819 -0.494 4.498
N 4.356 0.860 5.417
N 1.156 0.228 1.438
N 4.714 1.868 8.447
Mn 6.304 1.245 7.841
Mn 3.105 0.613 3.862
W 4.056 -0.052 7.280
W 0.552 1.046 3.271
CELL_PARAMETERS angstrom
-1.619 2.408 0.919
-0.706 -2.783 1.009
6.398 1.264 7.958
```

Computed properties:
The formation energy comes out at -1.632 eV per formula unit. The crystal system is hexagonal.

No. 5
DFT (PBE) results for crystalline Y2Mn3N4 at its relaxed geometry. Values from VASP.

```
&SYSTEM
  ibrav = 0, nat = 18, ntyp = 3
/
ATOMIC_SPECIES
N 14.01 N.upf
Y 88.91 Y.upf
Mn 54.94 Mn.upf
ATOMIC_POSITIONS angstrom
N -0.007 -1.077 1.062
N 4.018 -0.581 6.957
N 2.099 -3.139 5.767
N -0.933 0.993 3.793
N 1.637 -0.714 3.619
N 1.173 -1.070 8.498
N -2.852 -1.566 2.603
N -0.471 -1.433 5.941
Y -1.631 0.597 6.098
Y -0.641 -1.510 3.379
Y 1.807 -0.637 6.181
Y 2.798 -2.744 3.462
Mn -4.022 0.893 7.942
Mn 0.203 -3.108 5.815
Mn 0.964 0.961 3.745
Mn 5.188 -3.040 1.618
Mn 1.603 -0.175 1.745
Mn 4.992 -0.632 5.267
CELL_PARAMETERS angstrom
-5.428 -1.340 2.548
6.068 -3.553 1.113
0.526 2.746 5.899
```

Computed properties:
The formation energy comes out at -8.411 eV per formula unit. The crystal system is monoclinic.

No. 6
DFT (PBE) results for crystalline MnZn2N3 at its relaxed geometry. Values from VASP.

```
&SYSTEM
  ibrav = 0, nat = 12, ntyp = 3
/
ATOMIC_SPECIES
N 14.01 N.upf
Zn 65.41 Zn.upf
Mn 54.94 Mn.upf
ATOMIC_POSITIONS angstrom
N -0.028 2.657 1.319
N -4.204 3.848 2.090
N -2.549 1.394 0.599
N -1.896 1.817 3.450
N -1.683 5.111 2.810
N -2.144 4.553 -0.477
Zn -0.760 4.537 1.084
Zn -1.192 3.656 4.140
Zn -3.926 2.287 3.359
Zn -3.494 3.168 0.303
Mn -1.225 1.440 1.762
Mn -3.413 5.349 2.570
CELL_PARAMETERS angstrom
3.275 4.460 0.067
-5.022 0.305 -2.304
-2.032 1.423 4.618
```

Computed properties:
The formation energy comes out at -1.233 eV per formula unit. The crystal system is orthorhombic.

No. 7
DFT (PBE) results for crystalline MnZn5N4 at its relaxed geometry. Values from VASP.

```
&SYSTEM
  ibrav = 0, nat = 20, ntyp = 3
/
ATOMIC_SPECIES
Zn 65.41 Zn.upf
N 14.01 N.upf
Mn 54.94 Mn.upf
ATOMIC_POSITIONS angstrom
Zn -3.323 1.196 -5.502
Zn -4.510 3.021 -7.126
Zn -2.932 -0.456 -7.646
Zn -3.307 -0.847 -0.112
Zn -5.570 0.391 -7.037
Zn -4.494 0.978 -1.736
Zn -4.119 1.369 -9.270
Zn -4.102 -0.674 -3.880
Zn -1.855 0.131 -2.346
Zn -2.915 -2.499 -2.256
N -1.375 -3.167 -3.527
N -6.051 3.689 -5.855
N -4.760 -2.301 -2.956
N -3.082 4.583 -4.144
N -2.665 2.823 -6.427
N -4.547 1.377 -3.799
N -4.343 -4.061 -5.238
N -2.878 -0.855 -5.584
Mn -6.136 2.130 -4.669
Mn -1.290 -1.608 -4.714
CELL_PARAMETERS angstrom
-4.023 6.186 -5.504
0.856 -3.611 -4.684
-4.258 -2.053 0.805
```

Computed properties:
The formation energy comes out at 0.264 eV per formula unit. The crystal system is orthorhombic.

No. 8
DFT (PBE) results for crystalline Mn2ZnN2 at its relaxed geometry. Values from VASP.

```
&SYSTEM
  ibrav = 0, nat = 5, ntyp = 3
/
ATOMIC_SPECIES
Mn 54.94 Mn.upf
N 14.01 N.upf
Zn 65.41 Zn.upf
ATOMIC_POSITIONS angstrom
Mn 1.811 1.811 1.267
Mn 1.811 1.811 3.768
N 0.000 1.811 3.761
N 1.811 0.000 1.274
Zn 0.000 0.000 0.000
CELL_PARAMETERS angstrom
3.622 0.000 0.000
0.000 3.622 0.000
0.000 0.000 5.035
```

Computed properties:
The formation energy comes out at 1.255 eV per formula unit. The crystal system is tetragonal.

No. 9
DFT (PBE) results for crystalline Mn3Zn8N8 at its relaxed geometry. Values from VASP.

```
&SYSTEM
  ibrav = 0, nat = 19, ntyp = 3
/
ATOMIC_SPECIES
N 14.01 N.upf
Mn 54.94 Mn.upf
Zn 65.41 Zn.upf
ATOMIC_POSITIONS angstrom
N 5.271 -2.732 1.301
N 1.424 -2.558 4.085
N 1.415 -5.043 9.150
N 5.262 -5.218 6.365
N -0.151 -2.722 7.030
N 6.836 -5.054 3.420
N 2.819 -3.098 6.733
N 3.866 -4.678 3.717
Mn 1.360 -2.786 5.903
Mn 5.325 -4.989 4.547
Mn 3.490 -2.396 0.627
Zn 5.650 -3.925 10.047
Zn 3.269 -4.996 6.803
Zn 3.417 -2.779 3.647
Zn 0.603 -4.168 3.306
Zn 6.082 -3.607 7.144
Zn 6.383 -3.101 2.940
Zn 0.302 -4.674 7.510
Zn 1.036 -3.850 0.403
CELL_PARAMETERS angstrom
-0.294 -2.984 9.196
-0.492 -3.525 -0.459
7.472 -1.266 1.713
```

Computed properties:
The formation energy comes out at 0.139 eV per formula unit. The crystal system is monoclinic.

No. 10
DFT (PBE) results for crystalline ZrMn4N4 at its relaxed geometry. Values from VASP.

```
&SYSTEM
  ibrav = 0, nat = 18, ntyp = 3
/
ATOMIC_SPECIES
Mn 54.94 Mn.upf
N 14.01 N.upf
Zr 91.22 Zr.upf
ATOMIC_POSITIONS angstrom
Mn 3.025 4.087 3.509
Mn 5.446 4.317 2.306
Mn 5.754 3.803 7.329
Mn 3.033 4.644 0.975
Mn 5.763 4.360 4.795
Mn 4.692 1.819 3.171
Mn 3.342 4.130 5.998
Mn 4.096 6.628 5.133
N 3.656 2.687 4.802
N 6.496 3.973 0.674
N 2.291 4.473 7.629
N 3.918 3.229 1.892
N 2.362 5.440 4.897
N 4.869 5.217 6.412
N 6.425 3.007 3.407
N 5.132 5.760 3.502
Zr 2.120 1.962 1.489
Zr 6.668 6.485 6.815
CELL_PARAMETERS angstrom
5.161 0.078 0.055
2.019 5.163 0.587
1.608 3.206 7.662
```

Computed properties:
The formation energy comes out at -5.806 eV per formula unit. The crystal system is triclinic.

No. 11
DFT (PBE) results for crystalline Na2MnP2 at its relaxed geometry. Values from VASP.

```
&SYSTEM
  ibrav = 0, nat = 5, ntyp = 3
/
ATOMIC_SPECIES
Mn 54.94 Mn.upf
Na 22.99 Na.upf
P 30.97 P.upf
ATOMIC_POSITIONS angstrom
Mn -1.555 -0.429 -1.039
Na -0.635 -5.381 -0.371
Na -0.048 -8.540 0.056
P -1.139 -2.671 -0.736
P 0.455 -11.249 0.421
CELL_PARAMETERS angstrom
-2.624 -0.413 0.555
-0.486 -0.446 -2.632
2.427 -13.062 1.763
```

Computed properties:
The formation energy comes out at 2.125 eV per formula unit. The crystal system is tetragonal.

No. 12
DFT (PBE) results for crystalline NaMnP at its relaxed geometry. Values from VASP.

```
&SYSTEM
  ibrav = 0, nat = 6, ntyp = 3
/
ATOMIC_SPECIES
P 30.97 P.upf
Na 22.99 Na.upf
Mn 54.94 Mn.upf
ATOMIC_POSITIONS angstrom
P 0.000 1.881 5.660
P 1.881 0.000 1.329
Na 0.000 1.881 2.506
Na 1.881 0.000 4.484
Mn 0.000 0.000 0.000
Mn 1.881 1.881 0.000
CELL_PARAMETERS angstrom
3.761 0.000 0.000
0.000 3.761 0.000
0.000 0.000 6.990
```

Computed properties:
The formation energy comes out at -1.299 eV per formula unit. The crystal system is tetragonal.